MgTeBr6O6 | GGA-PBE | optimized geometry

Summary:
- volume (Å³/f.u.) = 338
- energy relative to the elements (eV/atom) = -0.3638
- crystal system = triclinic
- E (eV for the cell shown) = -180.90
- total magnetic moment (μB per cell) = 2.00

Geometry as POSCAR:
```
MgTeBr6O6
1.0
10.983 -0.114 -0.019
-0.116 11.056 -0.089
-0.022 -0.084 11.146
Mg Te Br O
4 4 24 24
Direct
0.000 0.001 0.502
0.995 0.498 0.999
0.496 0.993 0.986
0.500 0.498 0.499
0.491 0.506 0.986
0.504 0.000 0.504
0.999 0.498 0.497
0.996 0.001 0.998
0.526 0.731 0.147
0.474 0.220 0.353
0.975 0.274 0.650
0.025 0.774 0.855
0.143 0.533 0.726
0.357 0.466 0.224
0.664 0.948 0.307
0.843 0.028 0.773
0.729 0.157 0.536
0.222 0.353 0.461
0.268 0.652 0.973
0.770 0.851 0.031
0.411 0.344 0.842
0.530 0.775 0.645
0.029 0.726 0.351
0.964 0.225 0.140
0.846 0.468 0.268
0.655 0.534 0.771
0.360 0.049 0.722
0.145 0.975 0.229
0.272 0.855 0.471
0.780 0.646 0.530
0.712 0.334 0.014
0.229 0.144 0.975
0.436 0.653 0.594
0.625 0.109 0.918
0.059 0.344 0.090
0.937 0.842 0.405
0.594 0.440 0.657
0.900 0.560 0.152
0.090 0.066 0.347
0.397 0.944 0.834
0.657 0.593 0.440
0.154 0.907 0.563
0.355 0.096 0.057
0.836 0.397 0.936
0.565 0.342 0.406
0.443 0.856 0.096
0.934 0.653 0.908
0.066 0.157 0.596
0.411 0.560 0.343
0.089 0.441 0.842
0.907 0.940 0.657
0.648 0.054 0.195
0.341 0.404 0.556
0.843 0.097 0.445
0.655 0.897 0.932
0.152 0.593 0.064
```

=====

Ag | GGA-PBE | optimized geometry

Summary:
- volume (Å³/f.u.) = 18
- energy relative to the elements (eV/atom) = 0.0036
- crystal system = cubic
- E (eV for the cell shown) = -2.83

Geometry as POSCAR:
```
Ag
1.0
0.000 2.080 2.080
2.080 0.000 2.080
2.080 2.080 0.000
Ag
1
Direct
0.000 0.000 0.000
```

=====

Question: What is the volume in the first record?
Answer: 338 Å³/f.u.